(1)
The following is a PBE calculation of a relaxed structure of SrLi2Nb2O7, from Materials Project.

Structure (POSCAR):
```
SrLi2Nb2O7
1.0
9.168 -2.838 0.000
9.168 2.838 0.000
0.000 0.000 5.666
Sr Li Nb O
2 4 4 14
Direct
0.245 0.755 0.750
0.755 0.245 0.250
0.238 0.238 0.000
0.238 0.238 0.500
0.762 0.762 0.000
0.762 0.762 0.500
0.138 0.631 0.250
0.369 0.862 0.250
0.631 0.138 0.750
0.862 0.369 0.750
0.063 0.501 0.250
0.116 0.116 0.000
0.116 0.116 0.500
0.203 0.797 0.250
0.405 0.405 0.000
0.405 0.405 0.500
0.499 0.937 0.250
0.501 0.063 0.750
0.595 0.595 0.000
0.595 0.595 0.500
0.797 0.203 0.750
0.884 0.884 0.000
0.884 0.884 0.500
0.937 0.499 0.750
```

Output
Raw total energy: -0.281 Ha/atom


(2)
The following is a PBE calculation of a relaxed structure of Sr3Li4Nb6O20, from Materials Project.

Structure (POSCAR):
```
Sr3Li4Nb6O20
1.0
5.665 0.000 0.000
-0.007 5.665 0.000
-2.809 -0.023 13.291
Sr Li Nb O
3 4 6 20
Direct
0.000 0.000 0.000
0.164 0.999 0.325
0.666 0.497 0.325
0.088 0.749 0.674
0.089 0.247 0.674
0.590 0.247 0.674
0.590 0.748 0.674
0.088 0.496 0.163
0.244 0.499 0.484
0.428 0.998 0.854
0.586 0.994 0.163
0.743 0.999 0.484
0.929 0.499 0.854
0.015 0.496 0.021
0.166 0.494 0.322
0.179 0.241 0.867
0.179 0.755 0.867
0.316 0.498 0.627
0.324 0.217 0.176
0.358 0.998 0.711
0.369 0.721 0.178
0.486 0.748 0.468
0.488 0.248 0.468
0.515 0.995 0.021
0.667 0.996 0.322
0.692 0.754 0.867
0.693 0.241 0.867
0.816 0.998 0.626
0.841 0.248 0.177
0.858 0.498 0.711
0.872 0.765 0.176
0.986 0.747 0.468
0.987 0.247 0.468
```

Output
Raw total energy: -0.289 Ha/atom
Polymorph energy (0 for the lowest one): 0.000 eV per atom